{"formula": "Li2MnOF3", "functional": "GGA+U", "state": "optimized geometry", "formation_enthalpy_0k_kj_per_mol_atoms": -267, "polymorph_energy_mev_per_atom": 31, "total_magnetization_mub_per_cell": 0.00, "cell": [[-4.774, 0.424, 2.201], [2.344, -0.905, 5.257], [1.469, 9.684, 1.012]], "species": ["F", "Li", "F", "Li", "F", "Li", "Li", "F", "O", "F", "O", "F", "O", "Li", "F", "Li", "F", "Mn", "Mn", "F", "F", "Li", "F", "Mn", "Mn", "F", "Li", "O"], "fractional_positions": [[0.083, 0.111, 0.365], [0.744, 0.150, 0.184], [0.387, 0.140, 0.140], [0.223, 0.866, 0.206], [0.875, 0.852, 0.131], [0.223, 0.366, 0.706], [0.756, 0.650, 0.316], [0.113, 0.640, 0.360], [0.557, 0.891, 0.403], [0.625, 0.852, 0.869], [0.943, 0.391, 0.097], [0.417, 0.611, 0.135], [0.943, 0.891, 0.597], [0.744, 0.650, 0.684], [0.625, 0.352, 0.369], [0.756, 0.150, 0.816], [0.875, 0.352, 0.631], [0.250, 0.367, 0.000], [0.750, 0.114, 0.500], [0.417, 0.111, 0.635], [0.387, 0.640, 0.640], [0.277, 0.866, 0.794], [0.113, 0.140, 0.860], [0.250, 0.867, 0.500], [0.750, 0.614, 0.000], [0.083, 0.611, 0.865], [0.277, 0.366, 0.294], [0.557, 0.391, 0.903]]}